1.
# HfW2 | the Materials Project | r2SCAN | optimized geometry
# **DFT total energy**: -296.79 eV/cell
# **Magnetic moment**: 0.0 μB/f.u.
# **Space-group type**: Fd-3m
# **Calculated density**: 16.60 g cm⁻³
# **Energy of formation**: -169 meV per atom
data_HfW2
_symmetry_space_group_name_H-M 'P 1'
_symmetry_Int_Tables_number 1
_symmetry_space_group_name_Hall 'P 1'
_cell_length_a 5.3661
_cell_length_b 5.3661
_cell_length_c 5.3661
_cell_angle_alpha 60.00
_cell_angle_beta 60.00
_cell_angle_gamma 60.00
loop_
_atom_site_label
_atom_site_fract_x
_atom_site_fract_y
_atom_site_fract_z
_atom_site_occupancy
W1 0.5000 0.5000 0.5000 1
Hf1 0.8750 0.8750 0.8750 1
W2 0.5000 0.0000 0.5000 1
Hf2 0.1250 0.1250 0.1250 1
W3 0.0000 0.5000 0.5000 1
W4 0.5000 0.5000 0.0000 1


2.
# Ba2Bi | the Materials Project | r2SCAN | optimized geometry
# **DFT total energy**: -228.47 eV/cell
# **Magnetic moment**: 0.0 μB/f.u.
# **Space-group type**: I4/mmm
# **Calculated density**: 5.80 g cm⁻³
# **Energy of formation**: -911 meV per atom
data_Ba2Bi
_symmetry_space_group_name_H-M 'P 1'
_symmetry_Int_Tables_number 1
_symmetry_space_group_name_Hall 'P 1'
_cell_length_a 5.3542
_cell_length_b 5.3542
_cell_length_c 10.3797
_cell_angle_alpha 104.95
_cell_angle_beta 104.95
_cell_angle_gamma 90.00
loop_
_atom_site_label
_atom_site_fract_x
_atom_site_fract_y
_atom_site_fract_z
_atom_site_occupancy
Bi1 0.8659 0.8659 0.7318 1
Ba1 0.5000 0.0000 0.0000 1
Ba2 0.0000 0.5000 0.0000 1
Bi2 0.1341 0.1341 0.2682 1
Ba3 0.6800 0.6800 0.3600 1
Ba4 0.3200 0.3200 0.6400 1


3.
# PuHg3 | the Materials Project | r2SCAN | optimized geometry
# **DFT total energy**: -235.39 eV/cell
# **Magnetic moment**: 5.7 μB/f.u.
# **Space-group type**: Fm-3m
# **Calculated density**: 14.37 g cm⁻³
# **Energy of formation**: -233 meV per atom
data_PuHg3
_symmetry_space_group_name_H-M 'P 1'
_symmetry_Int_Tables_number 1
_symmetry_space_group_name_Hall 'P 1'
_cell_length_a 5.1702
_cell_length_b 5.1702
_cell_length_c 5.1702
_cell_angle_alpha 60.00
_cell_angle_beta 60.00
_cell_angle_gamma 60.00
loop_
_atom_site_label
_atom_site_fract_x
_atom_site_fract_y
_atom_site_fract_z
_atom_site_occupancy
Hg1 0.0000 0.0000 0.0000 1
Pu1 0.7500 0.7500 0.7500 1
Hg2 0.5000 0.5000 0.5000 1
Hg3 0.2500 0.2500 0.2500 1


4.
# YbPaO4 | the Materials Project | r2SCAN | optimized geometry
# **DFT total energy**: -161.86 eV/cell
# **Magnetic moment**: 0.0 μB/f.u.
# **Space-group type**: P4/mmm
# **Calculated density**: 10.41 g cm⁻³
# **Energy of formation**: -4097 meV per atom
data_YbPaO4
_symmetry_space_group_name_H-M 'P 1'
_symmetry_Int_Tables_number 1
_symmetry_space_group_name_Hall 'P 1'
_cell_length_a 3.7592
_cell_length_b 3.7592
_cell_length_c 5.2849
_cell_angle_alpha 90.00
_cell_angle_beta 90.00
_cell_angle_gamma 90.00
loop_
_atom_site_label
_atom_site_fract_x
_atom_site_fract_y
_atom_site_fract_z
_atom_site_occupancy
Pa1 0.5000 0.5000 0.5000 1
Yb1 0.0000 0.0000 0.0000 1
O1 0.5000 0.0000 0.2547 1
O2 0.0000 0.5000 0.2547 1
O3 0.5000 0.0000 0.7453 1
O4 0.0000 0.5000 0.7453 1